VASP calculation (GGA+U) on a relaxed K2FeH2OF5 crystal.

**DFT total energy**: -4.9043 eV per atom
**Formation energy**: -2473 meV per atom
**Density**: 2.595 g/cm3

```
44
Lattice="-3.795 3.426 3.853 -1.982 -5.989 1.098 10.909 -3.100 11.141" Properties=species:S:1:pos:R:3 pbc="T T T"
O 1.360 -4.356 11.641
F -0.992 -1.235 0.852
H 8.259 -2.625 9.900
Fe 5.644 -2.455 7.968
F 6.823 -2.128 9.517
F 4.226 -2.959 13.884
O 3.772 -1.306 4.451
F -1.209 -1.528 3.600
Fe 0.191 -0.905 2.400
F 6.343 -4.133 12.494
H -4.272 -2.228 5.272
O -4.095 -2.806 6.072
F -0.439 0.930 2.517
K 2.407 -0.978 8.805
F 4.462 -2.785 6.421
F 0.886 -2.584 6.923
F 0.669 -2.877 9.670
O 9.227 -2.856 10.021
K -3.047 0.573 3.236
F 5.572 -6.590 13.577
F 6.361 -4.253 7.777
F 6.125 -4.428 15.241
K 5.466 -5.453 10.059
F 3.763 -5.084 12.144
Fe 4.942 -4.756 13.694
F 4.243 -3.078 9.167
K 5.122 -1.759 11.602
K -0.333 -0.209 6.033
F -1.695 -3.535 6.573
K 2.723 -4.685 7.285
K 8.179 -6.235 12.857
F -1.230 -1.410 8.313
Fe -0.514 -3.206 8.123
F 0.116 -5.041 8.005
F 0.907 -2.703 2.208
H -3.127 -3.038 6.191
F 1.371 -0.577 3.950
H 3.949 -1.886 5.249
K 0.010 -3.903 4.489
F 5.014 -0.622 8.085
H 2.327 -4.588 11.761
H 1.183 -3.778 10.841
H 9.404 -3.435 10.820
H 2.804 -1.075 4.331
```

=====

VASP calculation (GGA+U) on a relaxed Co2OF3 crystal.

**DFT total energy**: -5.1900 eV per atom
**Energy above the lowest structure with this stoichiometry**: 0.30 eV/f.u.
**Formation energy**: -1930 meV per atom
**Density**: 4.536 g/cm3

```
24
Lattice="5.717 0.000 0.000 0.000 4.736 0.000 -1.195 0.000 10.322" Properties=species:S:1:pos:R:3 pbc="T T T"
Co 0.000 0.000 0.000
Co -0.597 2.368 5.161
Co 0.505 0.148 7.546
Co 1.102 2.220 2.385
Co 2.261 0.000 5.161
Co 2.858 2.368 0.000
Co 3.420 2.516 7.937
Co 4.017 4.588 2.776
O 0.564 0.946 5.938
O 1.161 1.422 0.777
O 3.361 3.314 9.545
O 3.958 3.790 4.384
F -0.687 3.317 7.011
F -0.090 3.787 1.850
F 1.084 3.245 4.252
F 0.487 3.859 9.413
F 2.383 0.943 3.346
F 1.785 1.425 8.506
F 2.737 3.311 1.815
F 2.139 3.793 6.976
F 4.035 0.877 0.909
F 3.438 1.491 6.070
F 4.612 0.949 8.472
F 5.209 1.419 3.311
```

=====

VASP calculation (GGA+U) on a relaxed Fe2O3 crystal.

**DFT total energy**: -6.6153 eV per atom
**Formation energy**: -1573 meV per atom
**Density**: 5.190 g/cm3

```
20
Lattice="5.145 0.000 0.000 0.011 5.288 0.000 0.021 0.040 7.511" Properties=species:S:1:pos:R:3 pbc="T T T"
Fe 0.000 0.000 0.000
Fe 0.014 2.325 1.704
Fe 2.573 2.682 7.502
Fe 2.571 4.964 1.698
Fe 2.594 5.295 5.439
Fe 2.588 2.329 3.766
Fe 5.143 2.654 5.460
Fe 5.149 4.973 3.759
O 0.715 3.016 3.484
O 0.731 4.578 5.764
O 1.014 3.814 0.879
O 1.499 1.178 0.888
O 1.825 1.935 5.788
O 1.832 0.375 3.461
O 3.302 4.653 7.226
O 3.288 3.034 2.011
O 3.588 3.796 4.642
O 4.091 1.149 4.642
O 4.390 0.380 2.030
O 4.416 2.004 7.221
```

=====

Question: Look up the formation energy of the third one.
Answer: -1573 meV per atom

=====

Question: Look up the formation energy of the second one.
Answer: -1930 meV per atom

=====

Question: Number 1 is which compound?
Answer: K2FeH2OF5

=====

Question: Look up the density of the second one.
Answer: 4.536 g/cm3